Record 1
First-principles (GGA-PBE) data for a geometry-optimized BaEuZrSnO6 structure, as listed in Materials Project.

Space-group type ... F-43m (216)
Theoretical density ... 6.7 Mg/m³
Formation energy from the elements ... -3.098 eV/atom
Magnetic moment ... 7.000 μB per cell

a b c (Å): 5.9197 5.9197 5.9197
angles (deg): 60.00 60.00 60.00
Sites, in units of the cell vectors:
Ba  0.0000  0.0000  0.0000
Eu  0.5000  0.5000  0.5000
Zr  0.2500  0.2500  0.2500
Sn  0.7500  0.7500  0.7500
O  0.5016  0.5016  0.9984
O  0.5016  0.9984  0.5016
O  0.5016  0.9984  0.9984
O  0.9984  0.5016  0.5016
O  0.9984  0.5016  0.9984
O  0.9984  0.9984  0.5016

---

Record 2
First-principles (GGA-PBE) data for a geometry-optimized Na6La3TaSi2P4O24 structure, as listed in Materials Project.

Theoretical density ... 3.5 Mg/m³
Energy above the most stable polymorph in this dataset ... 0.12 eV/f.u.
Formation energy from the elements ... -3.037 eV/atom
Magnetic moment ... 0.000 μB per cell

a b c (Å): 16.5551 9.4548 9.6018
angles (deg): 90.42 125.32 89.64
Sites, in units of the cell vectors:
Na  0.2516  0.7508  0.9988
Na  0.7486  0.7587  0.5004
Na  0.7516  0.2508  0.9988
Na  0.2486  0.2587  0.5004
Na  0.5042  0.0684  0.7517
Na  0.5038  0.9147  0.2450
Na  0.0042  0.5684  0.7517
Na  0.0038  0.4147  0.2450
Na  0.1826  0.9179  0.3048
Na  0.8135  0.0959  0.7060
Na  0.6826  0.4179  0.3048
Na  0.3135  0.5959  0.7060
La  0.1016  0.7650  0.5643
La  0.8980  0.2380  0.4403
La  0.1070  0.2533  0.0536
La  0.6016  0.2650  0.5643
La  0.3980  0.7380  0.4403
La  0.6070  0.7533  0.0536
Ta  0.8974  0.7452  0.9494
Ta  0.3974  0.2452  0.9494
Si  0.3509  0.9143  0.7571
Si  0.6480  0.1115  0.2498
Si  0.8509  0.4143  0.7571
Si  0.1480  0.6115  0.2498
P  0.9938  0.9333  0.7706
P  0.9902  0.0430  0.2278
P  0.4938  0.4333  0.7706
P  0.4902  0.5430  0.2278
P  0.6602  0.8959  0.7473
P  0.3559  0.0958  0.2436
P  0.1602  0.3959  0.7473
P  0.8559  0.5958  0.2436
O  0.1708  0.5584  0.7487
O  0.8489  0.5905  0.7835
O  0.8511  0.4337  0.2171
O  0.1494  0.4395  0.2527
O  0.6708  0.0584  0.7487
O  0.3489  0.0905  0.7835
O  0.3511  0.9337  0.2171
O  0.6494  0.9395  0.2527
O  0.4297  0.5279  0.6089
O  0.5558  0.5246  0.9282
O  0.5436  0.4573  0.3934
O  0.4379  0.4342  0.0744
O  0.9297  0.0279  0.6089
O  0.0558  0.0246  0.9282
O  0.0436  0.9573  0.3934
O  0.9379  0.9342  0.0744
O  0.2646  0.8364  0.7584
O  0.7563  0.8295  0.7786
O  0.7266  0.1936  0.2272
O  0.2690  0.1510  0.2435
O  0.7646  0.3364  0.7584
O  0.2563  0.3295  0.7786
O  0.2266  0.6936  0.2272
O  0.7690  0.6510  0.2435
O  0.3468  0.8910  0.5813
O  0.6508  0.8602  0.8925
O  0.6647  0.1662  0.4255
O  0.3588  0.1652  0.0937
O  0.8468  0.3910  0.5813
O  0.1508  0.3602  0.8925
O  0.1647  0.6662  0.4255
O  0.8588  0.6652  0.0937
O  0.4577  0.8604  0.9188
O  0.5684  0.8400  0.5755
O  0.5302  0.1693  0.0876
O  0.4538  0.1337  0.4132
O  0.9577  0.3604  0.9188
O  0.0684  0.3400  0.5755
O  0.0302  0.6693  0.0876
O  0.9538  0.6337  0.4132
O  0.0579  0.8205  0.7600
O  0.9149  0.8467  0.7795
O  0.9127  0.1436  0.2144
O  0.0723  0.1252  0.2329
O  0.5579  0.3205  0.7600
O  0.4149  0.3467  0.7795
O  0.4127  0.6436  0.2144
O  0.5723  0.6252  0.2329

---

Record 3
First-principles (GGA-PBE) data for a geometry-optimized Ba3SrMg2Si4O14 structure, as listed in Materials Project.

Space-group type ... Cm (8)
Theoretical density ... 4.0 Mg/m³
Formation energy from the elements ... -3.373 eV/atom
Magnetic moment ... 0.000 μB per cell

a b c (Å): 8.2632 8.2632 5.4168
angles (deg): 90.34 90.34 90.90
Sites, in units of the cell vectors:
Ba  0.0000  0.0000  0.0000
Ba  0.1717  0.5039  0.0217
Ba  0.5039  0.1717  0.0217
Sr  0.6690  0.6690  0.0028
Mg  0.3397  0.8366  0.5147
Mg  0.8366  0.3397  0.5147
Si  0.2015  0.2015  0.5564
Si  0.4812  0.4812  0.5620
Si  0.6986  0.9684  0.4634
Si  0.9684  0.6986  0.4634
O  0.0328  0.2603  0.6894
O  0.1411  0.7590  0.3396
O  0.1979  0.1979  0.2569
O  0.2603  0.0328  0.6894
O  0.3411  0.3411  0.6491
O  0.4236  0.6484  0.7018
O  0.4881  0.4881  0.2618
O  0.5300  0.9097  0.3238
O  0.6484  0.4236  0.7018
O  0.6962  0.9668  0.7638
O  0.7590  0.1411  0.3396
O  0.8322  0.8322  0.3572
O  0.9097  0.5300  0.3238
O  0.9668  0.6962  0.7638

---

Record 4
First-principles (GGA-PBE) data for a geometry-optimized Sm2MgCu4O8 structure, as listed in Materials Project.

Space-group type ... P1 (1)
Theoretical density ... 6.2 Mg/m³
Formation energy from the elements ... -1.951 eV/atom
Magnetic moment ... 0.000 μB per cell

a b c (Å): 5.7382 5.7402 7.0221
angles (deg): 114.06 114.01 90.02
Sites, in units of the cell vectors:
Sm  0.0000  0.0000  0.0000
Sm  0.2506  0.7506  0.5000
Mg  0.7514  0.2510  0.4998
Cu  0.1896  0.4381  0.8276
Cu  0.5620  0.3618  0.1719
Cu  0.6108  0.8111  0.1738
Cu  0.6379  0.3898  0.8263
O  0.2723  0.1450  0.8693
O  0.2756  0.7278  0.1308
O  0.3989  0.3463  0.3486
O  0.5972  0.7251  0.8700
O  0.6545  0.0504  0.6513
O  0.8548  0.4028  0.1295
O  0.9502  0.0024  0.3478
O  0.9984  0.6025  0.6523

---

Record 5
First-principles (GGA-PBE) data for a geometry-optimized SnPb structure, as listed in Materials Project.

Space-group type ... P-6m2 (187)
Theoretical density ... 9.0 Mg/m³
Formation energy from the elements ... 0.055 eV/atom

a b c (Å): 3.4785 3.4785 5.7179
angles (deg): 90.00 90.00 120.00
Sites, in units of the cell vectors:
Sn  0.0000  0.0000  0.0000
Pb  0.3333  0.6667  0.5000

---

Record 6
First-principles (GGA-PBE) data for a geometry-optimized MgTi8O16 structure, as listed in Materials Project.

Space-group type ... P1 (1)
Theoretical density ... 4.0 Mg/m³
Energy above the most stable polymorph in this dataset ... 0.07 eV/f.u.
Formation energy from the elements ... -3.380 eV/atom
Magnetic moment ... 0.217 μB per cell

a b c (Å): 5.2036 5.6482 9.3779
angles (deg): 88.07 88.91 88.41
Sites, in units of the cell vectors:
Mg  0.0000  0.0000  0.0000
Ti  0.1516  0.6985  0.7539
Ti  0.1565  0.2125  0.5356
Ti  0.3947  0.7360  0.2701
Ti  0.4464  0.2662  0.0323
Ti  0.6255  0.0133  0.7714
Ti  0.6496  0.5181  0.5260
Ti  0.8897  0.0218  0.2958
Ti  0.9093  0.5035  0.0351
O  0.0800  0.7594  0.1618
O  0.0887  0.2447  0.1357
O  0.2244  0.9869  0.3896
O  0.2419  0.4897  0.9099
O  0.3382  0.9959  0.8947
O  0.3491  0.4899  0.4101
O  0.4819  0.2412  0.6341
O  0.4847  0.7408  0.6689
O  0.5843  0.5357  0.1364
O  0.6023  0.0236  0.1647
O  0.7178  0.7793  0.3961
O  0.7588  0.2535  0.9095
O  0.8451  0.7622  0.8859
O  0.8465  0.2820  0.4160
O  0.9864  0.5040  0.6326
O  0.9902  0.0046  0.6659

---

Record 7
First-principles (GGA-PBE) data for a geometry-optimized Rb5Bi4 structure, as listed in Materials Project.

Space-group type ... Cm (8)
Theoretical density ... 4.7 Mg/m³
Formation energy from the elements ... -0.336 eV/atom

a b c (Å): 7.2975 7.2975 12.1032
angles (deg): 109.78 109.78 47.72
Sites, in units of the cell vectors:
Rb  0.0000  0.0000  0.0000
Rb  0.5105  0.5105  0.3362
Rb  0.6628  0.6628  0.7752
Rb  0.7336  0.7336  0.1533
Rb  0.8592  0.8592  0.5580
Bi  0.1553  0.1553  0.5602
Bi  0.2164  0.2164  0.3445
Bi  0.3070  0.3070  0.9947
Bi  0.3671  0.3671  0.7771

---

Record 8
First-principles (GGA-PBE) data for a geometry-optimized Ta11O2 structure, as listed in Materials Project.

Space-group type ... P1 (1)
Theoretical density ... 15.2 Mg/m³
Energy above the most stable polymorph in this dataset ... 0.00 eV/f.u.
Formation energy from the elements ... -0.501 eV/atom
Magnetic moment ... 0.004 μB per cell

a b c (Å): 7.4933 7.5240 9.3088
angles (deg): 110.00 107.36 101.79
Sites, in units of the cell vectors:
Ta  0.0000  0.0000  0.0000
Ta  0.0013  0.2949  0.3541
Ta  0.2029  0.0118  0.3177
Ta  0.2153  0.0366  0.8252
Ta  0.2385  0.7128  0.0112
Ta  0.2459  0.7146  0.5005
Ta  0.2617  0.4034  0.1810
Ta  0.2645  0.3878  0.6763
Ta  0.4925  0.4634  0.0050
Ta  0.4992  0.8101  0.8435
Ta  0.5032  0.1407  0.1776
Ta  0.5108  0.1386  0.6780
Ta  0.5147  0.4286  0.5164
Ta  0.5300  0.8611  0.3459
Ta  0.7451  0.8708  0.6700
Ta  0.7525  0.8771  0.1606
Ta  0.7582  0.5613  0.3402
Ta  0.7611  0.5677  0.8589
Ta  0.8211  0.2843  0.0474
Ta  0.9905  0.9693  0.5081
Ta  0.9948  0.2932  0.8203
Ta  0.9977  0.6228  0.6665
O  0.5025  0.6365  0.4223
O  0.5212  0.1449  0.4332
O  0.5216  0.1448  0.9301
O  0.9965  0.7770  0.0940